Record 1
VASP calculation (PBE+U) on crystalline NiPH6NO5 at its relaxed geometry.

Lattice parameters (Å, degrees): 5.6293 8.8979 4.7678 90.00 90.00 90.00
Closest atoms and distances in Å follow each position.
Sites, in units of the cell vectors:
Ni: 0.0000 0.0189 0.0000  6 O 2.03-2.17
Ni: 0.5000 0.9811 0.5000  6 O 2.03-2.17
P: 0.0000 0.8106 0.4280  4 O 1.53-1.58
P: 0.5000 0.1894 0.9280  4 O 1.53-1.58
H: 0.0000 0.5380 0.6834  1 N 1.05
H: 0.0000 0.5439 0.0437  1 N 1.05
H: 0.1393 0.1818 0.4157  1 O 0.99
H: 0.1513 0.4063 0.8730  1 N 1.04
H: 0.3487 0.5937 0.3730  1 N 1.04
H: 0.3607 0.8182 0.9157  1 O 0.99
H: 0.5000 0.4561 0.5437  1 N 1.05
H: 0.5000 0.4620 0.1834  1 N 1.05
H: 0.6393 0.8182 0.9157  1 O 0.99
H: 0.6513 0.5937 0.3730  1 N 1.04
H: 0.8487 0.4063 0.8730  1 N 1.04
H: 0.8607 0.1818 0.4157  1 O 0.99
N: 0.0000 0.4727 0.8680  4 H 1.04-1.05
N: 0.5000 0.5273 0.3680  4 H 1.04-1.05
O: 0.0000 0.1967 0.2934  2 H 0.99
O: 0.0000 0.6387 0.3696  1 P 1.55
O: 0.0000 0.8356 0.7460  1 P 1.53
O: 0.2199 0.8867 0.2812  1 P 1.58
O: 0.2801 0.1133 0.7812  1 P 1.58
O: 0.5000 0.1644 0.2460  1 P 1.53
O: 0.5000 0.3613 0.8696  1 P 1.55
O: 0.5000 0.8033 0.7934  2 H 0.99
O: 0.7199 0.1133 0.7812  1 P 1.58
O: 0.7801 0.8867 0.2812  1 P 1.58

## Properties
The value obtained for the formation energy is -1.43 eV/atom. As for the energy: -5.623 eV/atom.

Record 2
VASP calculation (PBE+U) on crystalline NiH8S2N4O8 at its relaxed geometry.

Lattice parameters (Å, degrees): 5.2098 5.9117 7.2984 89.46 74.76 81.96
Closest atoms and distances in Å follow each position.
Sites, in units of the cell vectors:
Ni: 0.0000 0.0000 0.0000  4 O 2.05-2.06, 2 N 2.18
H: 0.1282 0.0704 0.6161  1 N 1.03
H: 0.1430 0.7554 0.2408  1 N 1.04
H: 0.1549 0.4798 0.8087  1 N 1.03
H: 0.3463 0.3579 0.5820  1 N 1.03
H: 0.6537 0.6421 0.4180  1 N 1.03
H: 0.8451 0.5202 0.1913  1 N 1.03
H: 0.8570 0.2446 0.7592  1 N 1.04
H: 0.8718 0.9296 0.3839  1 N 1.03
S: 0.3663 0.2324 0.2183  4 O 1.48-1.52
S: 0.6337 0.7676 0.7817  4 O 1.48-1.52
N: 0.0606 0.1801 0.7334  2 H 1.03-1.04
N: 0.2167 0.3431 0.7143  2 H 1.03
N: 0.7833 0.6569 0.2857  2 H 1.03
N: 0.9394 0.8199 0.2666  2 H 1.03-1.04
O: 0.1537 0.2526 0.1091  1 S 1.52
O: 0.3238 0.4459 0.3338  1 S 1.48
O: 0.3415 0.0316 0.3411  1 S 1.48
O: 0.3628 0.7876 0.9213  1 S 1.50
O: 0.6372 0.2124 0.0787  1 S 1.50
O: 0.6585 0.9684 0.6589  1 S 1.48
O: 0.6762 0.5541 0.6662  1 S 1.48
O: 0.8463 0.7474 0.8909  1 S 1.52

## Properties
The total magnetization comes out at 0.0 μB/f.u. The value obtained for the formation energy is -0.89 eV/atom. As for the energy: -5.504 eV/atom.

Record 3
VASP calculation (PBE+U) on crystalline NiH12S2N2O10 at its relaxed geometry.

Lattice parameters (Å, degrees): 6.6726 11.4774 13.7265 99.93 88.99 100.98
Closest atoms and distances in Å follow each position.
Sites, in units of the cell vectors:
H: 0.4461 0.3740 0.5680  1 O 0.99
H: 0.3089 0.6355 0.1541  1 N 1.04
H: 0.6043 0.8968 0.4240  1 O 0.98
H: 0.3207 0.6217 0.4029  1 O 0.99
H: 0.4462 0.3741 0.0680  1 O 0.99
H: 0.6794 0.3781 0.5970  1 O 0.99
H: 0.6913 0.3645 0.3460  1 N 1.04
H: 0.1794 0.8783 0.8471  1 O 0.99
H: 0.5476 0.6370 0.1153  1 N 1.04
H: 0.3088 0.6355 0.6541  1 N 1.04
H: 0.9525 0.8630 0.1347  1 N 1.04
H: 0.3957 0.1033 0.0760  1 O 0.98
H: 0.8957 0.6032 0.3260  1 O 0.98
H: 0.1912 0.8645 0.0959  1 N 1.04
H: 0.0477 0.1371 0.8652  1 N 1.04
H: 0.1045 0.3968 0.1741  1 O 0.98
H: 0.5539 0.6259 0.9320  1 O 0.99
H: 0.3956 0.1032 0.5759  1 O 0.98
H: 0.0539 0.1260 0.1820  1 O 0.99
H: 0.5539 0.6259 0.4320  1 O 0.99
H: 0.8955 0.6032 0.8259  1 O 0.98
H: 0.8089 0.1355 0.9041  1 N 1.04
H: 0.1793 0.8783 0.3471  1 O 0.99
H: 0.0538 0.1259 0.6820  1 O 0.99
H: 0.4525 0.3629 0.3848  1 N 1.04
H: 0.9461 0.8741 0.3180  1 O 0.99
H: 0.3206 0.6216 0.9029  1 O 0.99
H: 0.1043 0.3967 0.6740  1 O 0.98
H: 0.6045 0.8968 0.9241  1 O 0.98
H: 0.9461 0.8741 0.8180  1 O 0.99
H: 0.8886 0.5916 0.2093  1 O 0.99
H: 0.4523 0.3629 0.8847  1 N 1.04
H: 0.1115 0.4085 0.7907  1 O 0.99
H: 0.1911 0.8645 0.5959  1 N 1.04
H: 0.0476 0.1371 0.3652  1 N 1.04
H: 0.3886 0.0916 0.9593  1 O 0.99
H: 0.3885 0.0915 0.4592  1 O 0.99
H: 0.6796 0.3782 0.0970  1 O 0.99
H: 0.1116 0.4085 0.2908  1 O 0.99
H: 0.8205 0.1219 0.1530  1 O 0.99
H: 0.6115 0.9084 0.5407  1 O 0.99
H: 0.6911 0.3645 0.8459  1 N 1.04
H: 0.8885 0.5916 0.7093  1 O 0.99
H: 0.8204 0.1218 0.6530  1 O 0.99
H: 0.8088 0.1355 0.4040  1 N 1.04
H: 0.9524 0.8630 0.6347  1 N 1.04
H: 0.5475 0.6371 0.6153  1 N 1.04
H: 0.6115 0.9084 0.0408  1 O 0.99
O: 0.6854 0.9371 0.4838  2 H 0.98-0.99
O: 0.4362 0.5790 0.8908  2 H 0.99
O: 0.4628 0.8636 0.6458  1 S 1.47
O: 0.0804 0.6774 0.9343  1 S 1.47
O: 0.4196 0.8226 0.8157  1 S 1.47
O: 0.4192 0.8224 0.3156  1 S 1.47
O: 0.5808 0.1776 0.1844  1 S 1.47
O: 0.8146 0.5629 0.2662  2 H 0.98-0.99
O: 0.7512 0.6779 0.0153  1 S 1.46
O: 0.7488 0.8222 0.2347  1 S 1.46
O: 0.3144 0.0629 0.5162  2 H 0.98-0.99
O: 0.5641 0.4208 0.1092  2 H 0.99
O: 0.1854 0.4370 0.7338  2 H 0.98-0.99
O: 0.1856 0.4371 0.2339  2 H 0.98-0.99
O: 0.9627 0.3637 0.8958  1 S 1.47
O: 0.9360 0.0792 0.1409  2 H 0.99
O: 0.2487 0.3222 0.4847  1 S 1.46
O: 0.4627 0.8636 0.1457  1 S 1.47
O: 0.5640 0.4208 0.6091  2 H 0.99
O: 0.2512 0.1778 0.7653  1 S 1.46
O: 0.3146 0.0630 0.0162  2 H 0.98-0.99
O: 0.9192 0.3224 0.0656  1 S 1.47
O: 0.2487 0.3222 0.9847  1 S 1.46
O: 0.7489 0.8221 0.7347  1 S 1.46
O: 0.6855 0.9371 0.9838  2 H 0.98-0.99
O: 0.5808 0.1776 0.6844  1 S 1.47
O: 0.8145 0.5629 0.7662  2 H 0.98-0.99
O: 0.9627 0.3636 0.3957  1 S 1.47
O: 0.9192 0.3224 0.5656  1 S 1.47
O: 0.0372 0.6364 0.1042  1 S 1.47
O: 0.0805 0.6774 0.4343  1 S 1.47
O: 0.0638 0.9209 0.3592  2 H 0.99
O: 0.0639 0.9210 0.8592  2 H 0.99
O: 0.2513 0.1778 0.2653  1 S 1.46
O: 0.9360 0.0792 0.6408  2 H 0.99
O: 0.5374 0.1363 0.8542  1 S 1.47
O: 0.0373 0.6364 0.6042  1 S 1.47
O: 0.4363 0.5791 0.3908  2 H 0.99
O: 0.7512 0.6778 0.5153  1 S 1.46
O: 0.5373 0.1364 0.3542  1 S 1.47
S: 0.4733 0.1981 0.7781  3 O 1.46-1.47
S: 0.9732 0.6982 0.5280  3 O 1.46-1.47
S: 0.9732 0.6982 0.0280  3 O 1.46-1.47
S: 0.4733 0.1982 0.2781  3 O 1.46-1.47
S: 0.5268 0.8018 0.7220  3 O 1.46-1.47
S: 0.0267 0.3018 0.9719  3 O 1.46-1.47
S: 0.5267 0.8018 0.2219  3 O 1.46-1.47
S: 0.0267 0.3018 0.4719  3 O 1.46-1.47
Ni: 0.4999 0.4999 0.7499  4 O 2.06-2.09, 2 N 2.20
Ni: 0.0000 0.0001 0.0001  4 O 2.06-2.09, 2 N 2.20
Ni: 0.9997 0.0002 0.5001  4 O 2.06-2.09, 2 N 2.20
Ni: 0.5002 0.4999 0.2501  4 O 2.06-2.09, 2 N 2.20
N: 0.9598 0.1510 0.9276  2 H 1.04
N: 0.4597 0.6509 0.6776  2 H 1.04
N: 0.0403 0.8491 0.0724  2 H 1.04
N: 0.5402 0.3490 0.8224  2 H 1.04
N: 0.4598 0.6509 0.1776  2 H 1.04
N: 0.9597 0.1509 0.4276  2 H 1.04
N: 0.0402 0.8491 0.5723  2 H 1.04
N: 0.5403 0.3491 0.3224  2 H 1.04

## Properties
The total magnetization comes out at 0.0 μB/f.u. The value obtained for the formation energy is -1.20 eV/atom. As for the energy: -5.329 eV/atom.

Question: Which formula does entry 3 have?
Answer: NiH12S2N2O10

Question: Which of these has the lowest energy?
Answer: NiPH6NO5